Entry 1:
This record from the Materials Project describes RbMg30BO31 after structural relaxation. The functional is PBE-GGA.

Results
MP2020-corrected energy = -6.13 eV per atom
raw total energy = -5.80 eV per atom
calculated volume = 647.0 Å³/f.u.

Lattice parameters (Å, degrees): 8.589 8.660 8.698 90.00 90.00 90.00
Fractional positions:
Rb  0.000  0.000  0.000
Mg  0.000  0.002  0.500
Mg  0.500  0.003  0.000
Mg  0.000  0.500  0.000
Mg  0.000  0.505  0.500
Mg  0.500  0.499  0.000
Mg  0.500  0.506  0.500
Mg  0.735  0.000  0.754
Mg  0.735  0.000  0.246
Mg  0.265  0.000  0.754
Mg  0.265  0.000  0.246
Mg  0.749  0.501  0.751
Mg  0.749  0.501  0.249
Mg  0.251  0.501  0.751
Mg  0.251  0.501  0.249
Mg  0.000  0.252  0.750
Mg  0.000  0.252  0.250
Mg  0.500  0.248  0.746
Mg  0.500  0.248  0.254
Mg  0.000  0.749  0.749
Mg  0.000  0.749  0.251
Mg  0.500  0.751  0.764
Mg  0.500  0.751  0.236
Mg  0.745  0.254  0.000
Mg  0.731  0.256  0.500
Mg  0.255  0.254  0.000
Mg  0.269  0.256  0.500
Mg  0.749  0.747  0.000
Mg  0.752  0.746  0.500
Mg  0.251  0.747  0.000
Mg  0.248  0.746  0.500
B  0.500  0.934  0.500
O  0.000  0.279  0.000
O  0.500  0.259  0.000
O  0.500  0.278  0.500
O  0.000  0.721  0.000
O  0.000  0.754  0.500
O  0.500  0.740  0.000
O  0.500  0.764  0.500
O  0.748  0.248  0.747
O  0.748  0.248  0.253
O  0.252  0.248  0.747
O  0.252  0.248  0.253
O  0.751  0.752  0.748
O  0.751  0.752  0.252
O  0.249  0.752  0.748
O  0.249  0.752  0.252
O  0.000  0.001  0.716
O  0.000  0.001  0.284
O  0.500  0.995  0.764
O  0.500  0.995  0.236
O  0.000  0.500  0.741
O  0.000  0.500  0.259
O  0.500  0.508  0.747
O  0.500  0.508  0.253
O  0.723  0.000  0.000
O  0.660  0.989  0.500
O  0.277  0.000  0.000
O  0.340  0.989  0.500
O  0.746  0.500  0.000
O  0.749  0.507  0.500
O  0.254  0.500  0.000
O  0.251  0.507  0.500

---

Entry 2:
This record from the Materials Project describes RbMg6BO7 after structural relaxation. The functional is PBE-GGA.

Results
MP2020-corrected energy = -5.61 eV per atom
raw total energy = -5.29 eV per atom
calculated volume = 208.9 Å³/f.u.

Lattice parameters (Å, degrees): 4.038 4.038 12.807 90.00 90.00 90.00
Fractional positions:
Rb  0.000  0.000  0.041
Mg  0.000  0.000  0.541
Mg  0.500  0.500  0.496
Mg  0.000  0.500  0.332
Mg  0.000  0.500  0.752
Mg  0.500  0.000  0.332
Mg  0.500  0.000  0.752
B  0.500  0.500  0.883
O  0.000  0.000  0.700
O  0.500  0.500  0.331
O  0.500  0.500  0.770
O  0.000  0.500  0.904
O  0.000  0.500  0.506
O  0.500  0.000  0.904
O  0.500  0.000  0.506

---

| no. | ΔE to the lowest computed polymorph (meV/atom) |
| --- | --- |
| 1 | 39.4 |
| 2 | 0.0 |